This record from the Materials Project describes an optimized crystal structure of HfMg14CoO16. The functional is PBE+U.

```
HfMg14CoO16
1.0
-3.419 2.708 7.466
-0.872 -8.203 2.575
3.915 0.132 1.745
Hf Mg Co O
1 14 1 16
Direct
0.000 0.500 0.000
0.500 0.000 0.000
0.500 0.500 0.000
0.000 0.233 0.500
0.000 0.767 0.500
0.500 0.247 0.500
0.500 0.753 0.500
0.247 0.000 0.500
0.258 0.500 0.500
0.753 0.000 0.500
0.742 0.500 0.500
0.254 0.240 0.000
0.254 0.760 0.000
0.746 0.240 0.000
0.746 0.760 0.000
0.000 0.000 0.000
0.264 0.000 0.000
0.254 0.500 0.000
0.736 0.000 0.000
0.746 0.500 0.000
0.248 0.251 0.500
0.248 0.749 0.500
0.752 0.251 0.500
0.752 0.749 0.500
0.000 0.000 0.500
0.000 0.500 0.500
0.500 0.000 0.500
0.500 0.500 0.500
0.000 0.262 0.000
0.000 0.738 0.000
0.500 0.253 0.000
0.500 0.747 0.000
```

Calculated values
total magnetization = 2.0 μB/f.u.
energy above the most stable polymorph in this dataset = 0.000 kcal/mol of atoms
total energy = -198.01 eV/f.u.
space group = Pmmm (47)
energy of formation from the pure elements = -2.875 eV/atom

---

This record from the Materials Project describes an optimized crystal structure of Li9Mn2Co5O16. The functional is PBE+U.

```
Li9Mn2Co5O16
1.0
3.016 0.000 0.000
-0.327 10.020 0.000
-0.208 -2.942 9.684
Li Mn Co O
9 2 5 16
Direct
0.999 0.251 0.247
0.499 0.502 0.756
0.004 0.750 0.246
0.501 0.498 0.244
0.002 0.749 0.752
0.503 0.998 0.251
0.498 0.002 0.749
0.995 0.249 0.755
0.000 0.500 0.000
0.000 0.000 0.000
0.500 0.251 0.500
0.500 0.749 0.500
0.998 0.502 0.500
0.507 0.738 0.999
0.002 0.998 0.500
0.493 0.262 0.001
0.476 0.130 0.111
0.964 0.377 0.618
0.496 0.640 0.115
0.974 0.365 0.115
0.504 0.626 0.615
0.976 0.875 0.114
0.006 0.874 0.617
0.507 0.122 0.613
0.493 0.377 0.387
0.028 0.635 0.885
0.496 0.875 0.385
0.994 0.626 0.382
0.524 0.871 0.889
0.035 0.123 0.383
0.022 0.125 0.886
0.504 0.360 0.885
```

Calculated values
total magnetization = 26.0 μB/f.u.
energy above the most stable polymorph in this dataset = 2.006 kcal/mol of atoms
total energy = -184.56 eV/f.u.
space group = P1 (1)
energy of formation from the pure elements = -1.777 eV/atom

---

This record from the Materials Project describes an optimized crystal structure of NaFe2O4. The functional is PBE+U.

```
NaFe2O4
1.0
3.038 0.000 0.000
-0.132 5.125 0.000
-0.087 -1.634 5.628
Na Fe O
1 2 4
Direct
0.000 0.500 0.500
0.500 0.500 0.000
0.000 0.000 0.000
0.033 0.281 0.815
0.491 0.758 0.815
0.967 0.719 0.185
0.509 0.242 0.185
```

Calculated values
total magnetization = 9.0 μB/f.u.
energy above the most stable polymorph in this dataset = 0.206 kcal/mol of atoms
total energy = -42.00 eV/f.u.
space group = P-1 (2)
energy of formation from the pure elements = -1.600 eV/atom

---

This record from the Materials Project describes an optimized crystal structure of Li2Cr2S3O12. The functional is PBE+U.

```
Li2Cr2S3O12
1.0
8.626 0.000 0.000
0.000 8.781 0.000
0.000 0.000 13.236
Li Cr S O
8 8 12 48
Direct
0.223 0.277 0.185
0.777 0.777 0.185
0.277 0.777 0.315
0.723 0.277 0.315
0.277 0.723 0.685
0.723 0.223 0.685
0.223 0.223 0.815
0.777 0.723 0.815
0.249 0.960 0.109
0.751 0.460 0.109
0.749 0.960 0.391
0.251 0.460 0.391
0.251 0.040 0.609
0.749 0.540 0.609
0.249 0.540 0.891
0.751 0.040 0.891
0.455 0.250 0.000
0.545 0.750 0.000
0.099 0.607 0.145
0.901 0.107 0.145
0.401 0.107 0.355
0.599 0.607 0.355
0.045 0.750 0.500
0.955 0.250 0.500
0.401 0.393 0.645
0.599 0.893 0.645
0.099 0.893 0.855
0.901 0.393 0.855
0.132 0.583 0.038
0.868 0.083 0.038
0.548 0.363 0.055
0.452 0.863 0.055
0.352 0.174 0.077
0.648 0.674 0.077
0.074 0.113 0.162
0.926 0.613 0.162
0.165 0.757 0.181
0.835 0.257 0.181
0.836 0.984 0.209
0.164 0.484 0.209
0.336 0.984 0.291
0.664 0.484 0.291
0.665 0.757 0.319
0.335 0.257 0.319
0.426 0.613 0.338
0.574 0.113 0.338
0.148 0.674 0.423
0.852 0.174 0.423
0.048 0.363 0.445
0.952 0.863 0.445
0.632 0.583 0.462
0.368 0.083 0.462
0.368 0.417 0.538
0.632 0.917 0.538
0.048 0.137 0.555
0.952 0.637 0.555
0.148 0.826 0.577
0.852 0.326 0.577
0.426 0.887 0.662
0.574 0.387 0.662
0.335 0.243 0.681
0.665 0.743 0.681
0.336 0.516 0.709
0.664 0.016 0.709
0.164 0.016 0.791
0.836 0.516 0.791
0.165 0.743 0.819
0.835 0.243 0.819
0.074 0.387 0.838
0.926 0.887 0.838
0.352 0.326 0.923
0.648 0.826 0.923
0.452 0.637 0.945
0.548 0.137 0.945
0.132 0.917 0.962
0.868 0.417 0.962
```

Calculated values
total magnetization = 8.0 μB/f.u.
energy above the most stable polymorph in this dataset = 0.000 kcal/mol of atoms
total energy = -122.32 eV/f.u.
space group = Pbcn (60)
energy of formation from the pure elements = -2.087 eV/atom

---

This record from the Materials Project describes an optimized crystal structure of MgMnCo2O6. The functional is PBE+U.

```
MgMnCo2O6
1.0
5.811 -2.796 0.021
-0.043 -1.640 2.474
-3.498 -4.366 -2.397
Mg Mn Co O
1 1 2 6
Direct
0.347 0.324 0.842
0.323 0.335 0.341
0.989 0.987 0.008
0.690 0.687 0.643
0.005 0.458 0.211
0.343 0.864 0.595
0.687 0.168 0.878
0.303 0.805 0.081
0.638 0.199 0.429
0.005 0.505 0.806
```

Calculated values
total magnetization = 7.0 μB/f.u.
energy above the most stable polymorph in this dataset = 0.000 kcal/mol of atoms
total energy = -62.09 eV/f.u.
space group = P1 (1)
energy of formation from the pure elements = -1.649 eV/atom

---

This record from the Materials Project describes an optimized crystal structure of NaFe2Mo3O12. The functional is PBE+U.

```
NaFe2Mo3O12
1.0
-2.639 -6.256 -1.954
3.430 -4.143 4.584
-7.766 -0.637 8.260
Na Fe Mo O
2 4 6 24
Direct
0.145 0.408 0.174
0.855 0.592 0.826
0.814 0.169 0.510
0.772 0.778 0.116
0.228 0.222 0.884
0.186 0.831 0.490
0.274 0.295 0.547
0.726 0.705 0.453
0.296 0.714 0.811
0.704 0.286 0.189
0.241 0.900 0.147
0.759 0.100 0.853
0.208 0.537 0.472
0.875 0.867 0.495
0.484 0.789 0.495
0.811 0.852 0.933
0.541 0.655 0.772
0.249 0.292 0.708
0.163 0.763 0.682
0.837 0.237 0.318
0.459 0.345 0.228
0.125 0.133 0.505
0.517 0.205 0.892
0.799 0.495 0.094
0.792 0.463 0.528
0.201 0.505 0.906
0.751 0.708 0.292
0.779 0.081 0.700
0.256 0.932 0.883
0.068 0.747 0.126
0.932 0.253 0.874
0.189 0.148 0.067
0.744 0.068 0.117
0.483 0.795 0.108
0.516 0.211 0.505
0.221 0.919 0.300
```

Calculated values
total magnetization = 9.0 μB/f.u.
energy above the most stable polymorph in this dataset = 0.000 kcal/mol of atoms
total energy = -122.79 eV/f.u.
space group = P-1 (2)
energy of formation from the pure elements = -1.943 eV/atom

---

This record from the Materials Project describes an optimized crystal structure of Fe3B7BrO13. The functional is PBE+U.

```
Fe3B7BrO13
1.0
-3.367 -7.860 1.515
-6.670 -2.859 -4.770
1.195 -6.414 -5.732
Fe B Br O
6 14 2 26
Direct
0.500 0.000 0.000
0.000 0.500 0.500
0.000 0.500 0.000
0.500 0.000 0.500
0.000 0.000 0.500
0.500 0.500 0.000
0.079 0.079 0.079
0.079 0.079 0.762
0.079 0.762 0.079
0.579 0.579 0.579
0.762 0.079 0.079
0.579 0.579 0.262
0.262 0.579 0.579
0.579 0.262 0.579
0.750 0.250 0.250
0.250 0.750 0.750
0.250 0.750 0.250
0.750 0.250 0.750
0.250 0.250 0.750
0.750 0.750 0.250
0.250 0.250 0.250
0.750 0.750 0.750
0.255 0.105 0.936
0.105 0.255 0.704
0.936 0.704 0.255
0.936 0.255 0.105
0.605 0.755 0.436
0.704 0.936 0.105
0.704 0.105 0.255
0.755 0.605 0.204
0.255 0.936 0.704
0.204 0.436 0.755
0.105 0.704 0.936
0.436 0.204 0.605
0.105 0.936 0.255
0.755 0.436 0.605
0.704 0.255 0.936
0.436 0.755 0.204
0.936 0.105 0.704
0.204 0.605 0.436
0.255 0.704 0.105
0.605 0.204 0.755
0.436 0.605 0.755
0.204 0.755 0.605
0.605 0.436 0.204
0.755 0.204 0.436
0.000 0.000 0.000
0.500 0.500 0.500
```

Calculated values
total magnetization = 12.0 μB/f.u.
energy above the most stable polymorph in this dataset = 0.545 kcal/mol of atoms
total energy = -181.31 eV/f.u.
space group = F-43c (219)
energy of formation from the pure elements = -2.454 eV/atom

---

This record from the Materials Project describes an optimized crystal structure of Li2V3CrO8. The functional is PBE+U.

```
Li2V3CrO8
1.0
3.201 4.033 3.021
-7.180 -0.097 7.432
-0.351 -5.591 1.983
Li V Cr O
4 6 2 16
Direct
0.937 0.187 0.870
0.436 0.687 0.879
0.564 0.313 0.121
0.063 0.813 0.130
0.500 0.000 0.000
0.500 0.000 0.500
0.500 0.500 0.500
0.000 0.500 0.000
0.000 0.500 0.500
0.000 0.000 0.500
0.749 0.750 0.514
0.250 0.250 0.486
0.863 0.393 0.737
0.364 0.893 0.734
0.636 0.107 0.266
0.137 0.607 0.263
0.091 0.617 0.753
0.592 0.117 0.721
0.643 0.614 0.749
0.133 0.116 0.722
0.635 0.617 0.296
0.145 0.114 0.281
0.855 0.886 0.719
0.365 0.383 0.704
0.867 0.884 0.278
0.357 0.386 0.251
0.408 0.883 0.279
0.909 0.383 0.247
```

Calculated values
total magnetization = 2.0 μB/f.u.
energy above the most stable polymorph in this dataset = 0.000 kcal/mol of atoms
total energy = -102.53 eV/f.u.
space group = P-1 (2)
energy of formation from the pure elements = -2.487 eV/atom

---

This record from the Materials Project describes an optimized crystal structure of Li4Mn3Nb3Te2O16. The functional is PBE+U.

```
Li4Mn3Nb3Te2O16
1.0
-1.893 -5.924 1.246
-0.146 -2.334 5.896
-9.937 3.340 1.156
Li Mn Nb Te O
4 3 3 2 16
Direct
0.670 0.670 0.097
0.000 0.000 0.006
0.996 0.996 0.515
0.339 0.339 0.595
0.338 0.830 0.786
0.830 0.338 0.786
0.163 0.163 0.290
0.819 0.819 0.765
0.166 0.647 0.279
0.647 0.166 0.279
0.641 0.641 0.502
0.329 0.329 0.984
0.321 0.816 0.410
0.522 0.522 0.640
0.686 0.686 0.893
0.988 0.988 0.699
0.998 0.998 0.188
0.816 0.321 0.410
0.524 0.985 0.667
0.985 0.524 0.667
0.168 0.168 0.906
0.863 0.863 0.394
0.016 0.515 0.180
0.515 0.016 0.180
0.340 0.340 0.401
0.164 0.657 0.897
0.496 0.496 0.176
0.657 0.164 0.897
```

Calculated values
total magnetization = 16.0 μB/f.u.
total energy = -200.28 eV/f.u.
space group = Cm (8)
energy of formation from the pure elements = -2.335 eV/atom

---

This record from the Materials Project describes an optimized crystal structure of Li9Mn2Co5O16. The functional is PBE+U.

```
Li9Mn2Co5O16
1.0
2.981 0.000 0.000
-0.391 5.961 0.000
-0.220 -0.252 16.153
Li Mn Co O
9 2 5 16
Direct
0.997 0.495 0.004
0.497 0.760 0.129
0.000 0.006 0.246
0.501 0.247 0.875
0.000 0.000 0.749
0.499 0.751 0.623
0.000 0.500 0.500
0.502 0.251 0.374
0.507 0.241 0.128
0.996 0.006 0.004
0.999 0.499 0.750
0.004 0.492 0.245
0.495 0.749 0.374
0.998 0.998 0.498
0.509 0.248 0.624
0.489 0.754 0.875
0.477 0.779 0.995
0.005 0.997 0.117
0.531 0.272 0.251
0.028 0.514 0.873
0.530 0.255 0.744
0.037 0.009 0.619
0.484 0.758 0.493
0.025 0.515 0.366
0.520 0.220 0.000
0.999 0.505 0.137
0.476 0.736 0.257
0.967 0.986 0.880
0.470 0.744 0.756
0.974 0.487 0.629
0.515 0.238 0.505
0.968 0.989 0.379
```

Calculated values
total magnetization = 12.0 μB/f.u.
energy above the most stable polymorph in this dataset = 1.361 kcal/mol of atoms
total energy = -185.46 eV/f.u.
space group = P1 (1)
energy of formation from the pure elements = -1.805 eV/atom

---

This record from the Materials Project describes an optimized crystal structure of LaZnCrFeO6. The functional is PBE+U.

```
LaZnCrFeO6
1.0
-1.755 -4.234 3.087
4.012 0.849 3.445
-0.457 5.605 7.427
La Zn Cr Fe O
2 2 2 2 12
Direct
0.284 0.237 0.752
0.716 0.237 0.252
0.779 0.773 0.751
0.221 0.773 0.251
0.760 0.497 0.501
0.240 0.497 0.001
0.751 0.997 0.001
0.249 0.997 0.501
0.268 0.395 0.241
0.449 0.138 0.059
0.461 0.748 0.442
0.539 0.748 0.942
0.551 0.138 0.559
0.732 0.395 0.741
0.785 0.664 0.257
0.987 0.827 0.441
0.986 0.224 0.054
0.014 0.224 0.554
0.013 0.827 0.941
0.215 0.664 0.757
```

Calculated values
total magnetization = 7.0 μB/f.u.
total energy = -68.57 eV/f.u.
space group = Pc (7)
energy of formation from the pure elements = -2.294 eV/atom

---

- Among the records above, which one has the highest energy of formation from the pure elements?
  NaFe2O4